The following is a PBE calculation of crystalline LiPr2Rh at its relaxed geometry, from the Materials Project.

The structure in POSCAR format:
```
LiPr2Rh
1.0
1.5395 1.6912 4.6153
-3.3015 2.5075 3.0567
-1.7594 -2.2509 4.2860
Li Pr Rh
1 2 1
Cartesian
-1.7607 0.9739 5.9790
-0.8804 0.4870 2.9895
-2.6411 1.4609 8.9685
0.0000 0.0000 0.0000
```

Calculated values
- V (Å³/atom) = 24.2
- space group = Fm-3m, No. 225
- VASP energy (eV/cell) = -20.1
- total magnetization (μB per cell) = 0.000
- ΔE_f (meV/atom) = -313
- crystal system = cubic

***

The following is a PBE calculation of crystalline LiPr2Ru at its relaxed geometry, from the Materials Project.

The structure in POSCAR format:
```
LiPr2Ru
1.0
3.3869 -2.5745 2.8167
-1.1438 -1.3138 4.7958
-0.8500 -4.8928 1.1712
Li Pr Ru
1 2 1
Cartesian
0.6966 -4.3905 4.3918
0.3483 -2.1953 2.1959
1.0449 -6.5858 6.5877
0.0000 0.0000 0.0000
```

Calculated values
- V (Å³/atom) = 23.5
- space group = Fm-3m, No. 225
- VASP energy (eV/cell) = -21.2
- total magnetization (μB per cell) = 0.008
- ΔE_f (meV/atom) = -114
- crystal system = cubic

***

The following is a PBE calculation of crystalline LiPrS2 at its relaxed geometry, from the Materials Project.

The structure in POSCAR format:
```
LiPrS2
1.0
-6.7147 -1.4788 1.3414
2.1918 -3.6460 -5.5656
-1.1169 -5.5618 0.3049
Li Pr S
2 2 4
Cartesian
-1.1402 -4.9868 -2.3102
-2.8277 -1.6594 -0.7209
0.4868 -8.2752 -3.8523
-5.5641 -3.8861 1.1209
-3.4208 -4.3991 -0.5298
-5.6283 -6.9780 -2.6284
-2.7910 -4.7516 -4.5480
-1.7162 -7.7094 -2.1265
```

Calculated values
- V (Å³/atom) = 23.2
- space group = P1, No. 1
- VASP energy (eV/cell) = -43.9
- total magnetization (μB per cell) = 0.000
- ΔE_f (meV/atom) = -1995
- crystal system = triclinic

***

The following is a PBE calculation of crystalline LiPrS2 at its relaxed geometry, from the Materials Project.

The structure in POSCAR format:
```
LiPrS2
1.0
-7.7556 0.0431 -2.1007
-9.0492 4.9027 2.7802
-4.1345 5.6526 0.0255
Li Pr S
2 2 4
Cartesian
-10.6278 8.0790 0.8740
-8.0560 5.6978 -1.0090
-11.9121 5.7133 -2.0597
-14.4925 8.1542 -0.1407
-14.3593 5.3629 -0.6753
-10.4446 5.3120 0.3413
-13.0284 7.7766 2.2671
-7.8811 2.8597 -1.5315
```

Calculated values
- V (Å³/atom) = 23.2
- space group = P1, No. 1
- VASP energy (eV/cell) = -43.9
- total magnetization (μB per cell) = 0.000
- ΔE_f (meV/atom) = -2002
- crystal system = triclinic

***

The following is a PBE calculation of crystalline LiPrS2 at its relaxed geometry, from the Materials Project.

The structure in POSCAR format:
```
LiPrS2
1.0
4.0812 0.0000 0.0000
0.0000 4.0812 0.0000
0.0000 0.0000 5.5484
Li Pr S
1 1 2
Cartesian
0.0000 0.0000 0.0000
2.0406 2.0406 2.7742
0.0000 0.0000 2.7742
2.0406 2.0406 0.0000
```

Calculated values
- V (Å³/atom) = 23.1
- space group = P4/mmm, No. 123
- VASP energy (eV/cell) = -21.7
- total magnetization (μB per cell) = 0.000
- ΔE_f (meV/atom) = -1945
- crystal system = tetragonal

***

The following is a PBE calculation of crystalline LiPrS2 at its relaxed geometry, from the Materials Project.

The structure in POSCAR format:
```
LiPrS2
1.0
-2.8466 2.8466 5.6816
2.8466 -2.8466 5.6816
2.8466 2.8466 -5.6816
Li Pr S
2 2 4
Cartesian
2.8466 0.0000 2.8408
0.0000 0.0000 5.6816
0.0000 0.0000 0.0000
0.0000 2.8466 2.8408
0.0000 2.8466 0.0049
0.0000 2.8466 5.6768
0.0000 0.0000 8.5273
0.0000 0.0000 2.8360
```

Calculated values
- V (Å³/atom) = 23.0
- space group = I4_1/amd, No. 141
- VASP energy (eV/cell) = -43.9
- ΔE_f (meV/atom) = -2001
- crystal system = tetragonal